Entry 1:
Crystalline MgMnCo3O8 at its relaxed geometry, computed with GGA+U.

- energy of formation (meV/atom) = -1520
- corrected total energy (MP2020 scheme) (eV/cell) = -91.43
- electronic total energy (eV per atom) = -6.104
- energy above the most stable polymorph in this dataset (meV per atom) = 81

Cell lengths 5.8125, 5.8614, 5.8804 Å; angles 92.21, 118.82, 118.44 degrees
Positions (direct):
Mg 0.0000 0.0000 0.0000
Mn 0.7559 0.3689 0.6291
Co 0.2504 0.3713 0.6328
Co 0.2496 0.8642 0.6254
Co 0.7555 0.3759 0.1388
O 0.2115 0.5882 0.8351
O 0.2413 0.5962 0.4183
O 0.2656 0.1353 0.8540
O 0.2857 0.1397 0.4174
O 0.7182 0.5840 0.8604
O 0.7370 0.1451 0.8682
O 0.7652 0.5889 0.3972
O 0.8026 0.1633 0.4134



Entry 2:
Crystalline MgMn3CoO8 at its relaxed geometry, computed with GGA+U.

- energy of formation (meV/atom) = -1918
- corrected total energy (MP2020 scheme) (eV/cell) = -100.71
- electronic total energy (eV per atom) = -6.813
- energy above the most stable polymorph in this dataset (meV per atom) = 6

Cell lengths 5.8570, 5.8570, 5.6955 Å; angles 116.46, 116.46, 59.66 degrees
Positions (direct):
Mg 0.0000 0.0000 0.0000
Mn 0.0000 0.5000 0.0000
Mn 0.5000 0.0000 0.0000
Mn 0.5000 0.5000 0.5000
Co 0.5000 0.5000 0.0000
O 0.2340 0.2340 0.2045
O 0.2459 0.7005 0.2203
O 0.2771 0.2771 0.8015
O 0.2995 0.7541 0.7797
O 0.7005 0.2459 0.2203
O 0.7229 0.7229 0.1985
O 0.7541 0.2995 0.7797
O 0.7660 0.7660 0.7955



Entry 3:
Crystalline MgMn2CoO7 at its relaxed geometry, computed with GGA+U.

- energy of formation (meV/atom) = -1611
- corrected total energy (MP2020 scheme) (eV/cell) = -635.14
- electronic total energy (eV per atom) = -6.328

Cell lengths 6.9011, 14.2087, 10.7863 Å; angles 90.00, 108.10, 90.00 degrees
Positions (direct):
Mg 0.0243 0.0031 0.2429
Mg 0.0243 0.4969 0.7429
Mg 0.3307 0.6218 0.4576
Mg 0.3307 0.8782 0.9576
Mg 0.6693 0.1218 0.0424
Mg 0.6693 0.3782 0.5424
Mg 0.9757 0.5031 0.2571
Mg 0.9757 0.9969 0.7571
Mn 0.1315 0.6248 0.0391
Mn 0.1315 0.8752 0.5391
Mn 0.1663 0.1146 0.0256
Mn 0.1663 0.3854 0.5256
Mn 0.4372 0.0283 0.7129
Mn 0.4372 0.4717 0.2129
Mn 0.4852 0.7330 0.7687
Mn 0.4852 0.7670 0.2687
Mn 0.5148 0.2330 0.7313
Mn 0.5148 0.2670 0.2313
Mn 0.5628 0.5283 0.7871
Mn 0.5628 0.9717 0.2871
Mn 0.8337 0.6146 0.4744
Mn 0.8337 0.8854 0.9744
Mn 0.8685 0.1248 0.4609
Mn 0.8685 0.3752 0.9609
Co 0.0072 0.2388 0.7430
Co 0.0072 0.2612 0.2430
Co 0.3669 0.1461 0.4197
Co 0.3669 0.3539 0.9197
Co 0.6331 0.6461 0.0803
Co 0.6331 0.8539 0.5803
Co 0.9928 0.7388 0.7570
Co 0.9928 0.7612 0.2570
O 0.0015 0.6341 0.3834
O 0.0015 0.8659 0.8834
O 0.0120 0.6270 0.8729
O 0.0120 0.8730 0.3729
O 0.0235 0.1293 0.8619
O 0.0235 0.3707 0.3619
O 0.0477 0.1418 0.3783
O 0.0477 0.3582 0.8783
O 0.2327 0.0029 0.0407
O 0.2327 0.4971 0.5407
O 0.2342 0.5145 0.0558
O 0.2342 0.9855 0.5558
O 0.2569 0.7374 0.3202
O 0.2569 0.7626 0.8202
O 0.2861 0.2434 0.2931
O 0.2861 0.2566 0.7931
O 0.2961 0.5280 0.3060
O 0.2961 0.9720 0.8060
O 0.3409 0.0352 0.3195
O 0.3409 0.4648 0.8195
O 0.3581 0.6942 0.0976
O 0.3581 0.8058 0.5976
O 0.3904 0.1809 0.0736
O 0.3904 0.3191 0.5736
O 0.4361 0.6252 0.6635
O 0.4361 0.8748 0.1635
O 0.4422 0.1364 0.5965
O 0.4422 0.3636 0.0965
O 0.5578 0.6364 0.9035
O 0.5578 0.8636 0.4035
O 0.5639 0.1252 0.8365
O 0.5639 0.3748 0.3365
O 0.6096 0.6809 0.4264
O 0.6096 0.8191 0.9264
O 0.6419 0.1942 0.4024
O 0.6419 0.3058 0.9024
O 0.6591 0.5352 0.1805
O 0.6591 0.9648 0.6805
O 0.7039 0.0280 0.1940
O 0.7039 0.4720 0.6940
O 0.7139 0.7434 0.2069
O 0.7139 0.7566 0.7069
O 0.7431 0.2374 0.1798
O 0.7431 0.2626 0.6798
O 0.7658 0.0145 0.4442
O 0.7658 0.4855 0.9442
O 0.7673 0.5029 0.4593
O 0.7673 0.9971 0.9593
O 0.9523 0.6418 0.1217
O 0.9523 0.8582 0.6217
O 0.9765 0.6293 0.6381
O 0.9765 0.8707 0.1381
O 0.9880 0.1270 0.6271
O 0.9880 0.3730 0.1271
O 0.9985 0.1341 0.1166
O 0.9985 0.3659 0.6166



Entry 4:
Crystalline MgMnCo3O8 at its relaxed geometry, computed with GGA+U.

- energy of formation (meV/atom) = -1531
- corrected total energy (MP2020 scheme) (eV/cell) = -91.58
- electronic total energy (eV per atom) = -6.115
- energy above the most stable polymorph in this dataset (meV per atom) = 70

Cell lengths 5.6940, 5.7423, 5.8054 Å; angles 118.47, 116.78, 90.57 degrees
Positions (direct):
Mg 0.0000 0.0000 0.0000
Mn 0.5000 0.5000 0.0000
Co 0.0000 0.0000 0.5000
Co 0.0000 0.5000 0.0000
Co 0.0000 0.5000 0.5000
O 0.1892 0.7120 0.4334
O 0.2000 0.2377 0.4735
O 0.2180 0.7033 0.9427
O 0.2328 0.2736 0.9889
O 0.7672 0.7264 0.0111
O 0.7820 0.2967 0.0573
O 0.8000 0.7623 0.5265
O 0.8108 0.2880 0.5666